(1)
# Li4Mn5FeP6O24, relaxed, DFT PBE+U
# Magnetic moment: 29.00 μB per formula unit
# Formation energy from the elements: -2.49 eV per atom
# Energy with MP2020 corrections: -312.818 eV per cell
data_Li4Mn5FeP6O24
_cell_length_a 8.476
_cell_length_b 8.599
_cell_length_c 8.687
_cell_angle_alpha 62.48
_cell_angle_beta 63.39
_cell_angle_gamma 63.50
_space_group_name_H-M_alt 'P 1'
_space_group_IT_number 1
loop_
_space_group_symop_operation_xyz
'x,y,z'
loop_
_atom_site_label
_atom_site_fract_x
_atom_site_fract_y
_atom_site_fract_z
_atom_site_occupancy
Li1 0.000 0.000 0.000 1
Li2 0.091 0.892 0.504 1
Li3 0.199 0.396 0.409 1
Li4 0.613 0.590 0.800 1
Mn1 0.005 0.391 0.803 1
Mn2 0.362 0.741 0.136 1
Mn3 0.495 0.891 0.293 1
Mn4 0.697 0.094 0.496 1
Mn5 0.840 0.243 0.647 1
Fe1 0.197 0.587 0.993 1
P1 0.101 0.182 0.201 1
P2 0.284 0.986 0.698 1
P3 0.405 0.494 0.588 1
P4 0.594 0.290 0.096 1
P5 0.792 0.791 0.895 1
P6 0.907 0.694 0.392 1
O1 0.035 0.197 0.055 1
O2 0.091 0.137 0.732 1
O3 0.099 0.664 0.234 1
O4 0.167 0.345 0.148 1
O5 0.254 0.430 0.603 1
O6 0.259 0.990 0.224 1
O7 0.270 0.829 0.893 1
O8 0.297 0.927 0.551 1
O9 0.351 0.554 0.754 1
O10 0.411 0.665 0.406 1
O11 0.438 0.485 0.070 1
O12 0.449 0.045 0.652 1
O13 0.528 0.130 0.140 1
O14 0.596 0.349 0.574 1
O15 0.602 0.815 0.044 1
O16 0.661 0.261 0.245 1
O17 0.737 0.756 0.333 1
O18 0.740 0.314 0.901 1
O19 0.805 0.974 0.735 1
O20 0.812 0.641 0.829 1
O21 0.904 0.838 0.452 1
O22 0.922 0.497 0.539 1
O23 0.953 0.733 0.969 1
O24 0.959 0.164 0.394 1



(2)
# Li4Nb3V3Cr2O16, relaxed, DFT PBE+U
# Magnetic moment: 14.00 μB per formula unit
# Formation energy from the elements: -2.59 eV per atom
# Energy with MP2020 corrections: -472.635 eV per cell
data_Li4Nb3V3Cr2O16
_cell_length_a 10.463
_cell_length_b 6.037
_cell_length_c 9.804
_cell_angle_alpha 90.00
_cell_angle_beta 90.84
_cell_angle_gamma 90.00
_space_group_name_H-M_alt 'C 1 m 1'
_space_group_IT_number 8
loop_
_space_group_symop_operation_xyz
'x,y,z'
'x,-y,z'
'x+1/2,y+1/2,z'
'x+1/2,-y+1/2,z'
loop_
_atom_site_label
_atom_site_fract_x
_atom_site_fract_y
_atom_site_fract_z
_atom_site_occupancy
Li1 0.000 0.000 0.000 1
Li2 0.001 0.000 0.498 1
Li3 0.174 0.500 0.892 1
Li4 0.342 0.000 0.403 1
Nb1 0.097 0.263 0.217 1
Nb2 0.177 0.000 0.718 1
V1 0.335 0.500 0.217 1
V2 0.422 0.245 0.717 1
Cr1 0.178 0.500 0.494 1
Cr2 0.347 0.000 0.986 1
O1 0.011 0.000 0.315 1
O2 0.011 0.000 0.818 1
O3 0.027 0.500 0.355 1
O4 0.094 0.246 0.608 1
O5 0.175 0.500 0.091 1
O6 0.177 0.000 0.106 1
O7 0.245 0.276 0.352 1
O8 0.267 0.218 0.846 1
O9 0.336 0.000 0.605 1
O10 0.346 0.500 0.607 1
O11 0.433 0.244 0.105 1
O12 0.488 0.000 0.842 1



(3)
# LiCoOF, relaxed, DFT PBE+U
# Magnetic moment: 3.00 μB per formula unit
# Formation energy from the elements: -2.05 eV per atom
# Energy with MP2020 corrections: -96.358 eV per cell
data_LiCoOF
_cell_length_a 3.026
_cell_length_b 3.026
_cell_length_c 16.527
_cell_angle_alpha 90.00
_cell_angle_beta 90.00
_cell_angle_gamma 90.00
_space_group_name_H-M_alt 'P 4/n m m'
_space_group_IT_number 129
loop_
_space_group_symop_operation_xyz
'x,y,z'
'-x,-y,-z'
'-y+1/2,x,z'
'y+1/2,-x,-z'
'-x+1/2,-y+1/2,z'
'x+1/2,y+1/2,-z'
'y,-x+1/2,z'
'-y,x+1/2,-z'
'x+1/2,-y,-z'
'-x+1/2,y,z'
'-y,-x,-z'
'y,x,z'
'-x,y+1/2,-z'
'x,-y+1/2,z'
'y+1/2,x+1/2,-z'
'-y+1/2,-x+1/2,z'
loop_
_atom_site_label
_atom_site_fract_x
_atom_site_fract_y
_atom_site_fract_z
_atom_site_occupancy
Li1 0.250 0.250 0.059 1
Li2 0.250 0.250 0.818 1
Co1 0.250 0.250 0.312 1
Co2 0.250 0.250 0.566 1
O1 0.250 0.250 0.437 1
O2 0.250 0.250 0.694 1
F1 0.250 0.250 0.179 1
F2 0.250 0.250 0.940 1



(4)
# Y2V10O53, relaxed, DFT PBE+U
# ΔE to the lowest computed polymorph: 0.050 eV/atom
# Magnetic moment: 11.06 μB per formula unit
# Formation energy from the elements: -1.03 eV per atom
# Energy with MP2020 corrections: -432.907 eV per cell
data_Y2V10O53
_cell_length_a 8.682
_cell_length_b 10.604
_cell_length_c 12.287
_cell_angle_alpha 110.59
_cell_angle_beta 109.55
_cell_angle_gamma 91.13
_space_group_name_H-M_alt 'P 1'
_space_group_IT_number 1
loop_
_space_group_symop_operation_xyz
'x,y,z'
loop_
_atom_site_label
_atom_site_fract_x
_atom_site_fract_y
_atom_site_fract_z
_atom_site_occupancy
Y1 0.000 0.000 0.000 1
Y2 0.075 0.383 0.734 1
V1 0.230 0.867 0.561 1
V2 0.289 0.719 0.307 1
V3 0.367 0.556 0.074 1
V4 0.390 0.591 0.531 1
V5 0.466 0.438 0.281 1
V6 0.508 0.013 0.509 1
V7 0.586 0.862 0.261 1
V8 0.606 0.880 0.718 1
V9 0.685 0.736 0.479 1
V10 0.744 0.587 0.227 1
O1 0.024 0.983 0.249 1
O2 0.029 0.272 0.250 1
O3 0.035 0.536 0.649 1
O4 0.072 0.917 0.597 1
O5 0.081 0.178 0.797 1
O6 0.082 0.208 0.542 1
O7 0.103 0.827 0.932 1
O8 0.147 0.781 0.376 1
O9 0.166 0.036 0.258 1
O10 0.194 0.644 0.148 1
O11 0.226 0.685 0.551 1
O12 0.233 0.761 0.898 1
O13 0.240 0.124 0.008 1
O14 0.245 0.496 0.916 1
O15 0.306 0.552 0.347 1
O16 0.318 0.016 0.540 1
O17 0.332 0.418 0.118 1
O18 0.341 0.447 0.541 1
O19 0.379 0.815 0.981 1
O20 0.388 0.894 0.325 1
O21 0.400 0.105 0.057 1
O22 0.408 0.918 0.718 1
O23 0.421 0.290 0.283 1
O24 0.422 0.755 0.101 1
O25 0.462 0.273 0.804 1
O26 0.468 0.783 0.493 1
O27 0.471 0.359 0.759 1
O28 0.498 0.151 0.020 1
O29 0.500 0.662 0.274 1
O30 0.547 0.698 0.683 1
O31 0.558 0.161 0.511 1
O32 0.566 0.531 0.070 1
O33 0.589 0.556 0.461 1
O34 0.624 0.004 0.248 1
O35 0.637 0.018 0.665 1
O36 0.652 0.435 0.247 1
O37 0.674 0.901 0.442 1
O38 0.749 0.769 0.235 1
O39 0.750 0.944 0.870 1
O40 0.778 0.597 0.903 1
O41 0.780 0.801 0.635 1
O42 0.785 0.430 0.498 1
O43 0.809 0.546 0.805 1
O44 0.825 0.670 0.409 1
O45 0.857 0.411 0.784 1
O46 0.883 0.233 0.992 1
O47 0.900 0.255 0.269 1
O48 0.902 0.535 0.193 1
O49 0.908 0.937 0.133 1
O50 0.930 0.484 0.521 1
O51 0.941 0.345 0.002 1
O52 0.949 0.159 0.545 1
O53 0.996 0.078 0.788 1